Compound: SrGeO3
Source: the Materials Project
Functional: PBE
Structure: optimized geometry

Unit cell a=7.0535 b=7.0535 c=5.7714 alpha=90.00 beta=90.00 gamma=120.00
Space group P-62m (No. 189)
Asymmetric unit:
Sr: 0.0000 0.3375 0.0000
Ge: 0.0000 0.7308 0.5000
O: 0.0000 0.2428 0.5000
O: 0.0000 0.6369 0.2218

Results
calculated formation energy	-2.631	eV per atom
piezoelectric modulus e_max	0.207	C/m2
calculated total energy	-96.75	eV for the cell shown